# 1
## Tm2AlZn (PBE-GGA)

Data for a geometry-optimized Tm2AlZn structure.

```
4
Lattice="2.5860 -3.8207 -1.9634 -2.3649 -4.2304 -1.2849 -0.5651 -1.1858 -4.8389" Properties=species:S:1:pos:R:3 pbc="T T T"
Tm -0.2579 -6.9277 -6.0654
Al 0.0000 0.0000 0.0000
Zn -0.1720 -4.6184 -4.0436
Tm -0.0860 -2.3092 -2.0218
```

Properties
Calculated volume in A^3/atom: 22.28
Calculated formation energy in eV/atom: -0.379
E in eV/atom: -3.868


# 2
## UAl4 (PBE-GGA)

Data for a geometry-optimized UAl4 structure.

```
10
Lattice="-5.3394 2.3479 5.3084 -5.9298 4.8603 -1.8483 3.6903 -6.8463 -1.3081" Properties=species:S:1:pos:R:3 pbc="T T T"
Al -3.3038 0.5579 -1.0044
Al -1.1197 -0.9930 -1.5782
U -1.6933 -0.3052 1.3934
U -5.8856 0.6671 0.7586
Al -5.6346 3.6041 1.7300
Al -4.2750 -0.1959 3.1564
Al 0.3312 -4.5438 -0.3735
Al -5.1115 2.9486 -1.2261
Al -7.9101 4.9057 2.5255
Al -2.4674 -2.5866 3.3781
```

Properties
Calculated volume in A^3/atom: 18.76
Calculated formation energy in eV/atom: -0.103
E in eV/atom: -5.358


# 3
## UAl20V2 (PBE-GGA)

Data for a geometry-optimized UAl20V2 structure.

```
46
Lattice="0.0000 7.2223 7.2223 7.2223 0.0000 7.2223 7.2223 7.2223 0.0000" Properties=species:S:1:pos:R:3 pbc="T T T"
Al 9.8887 9.8887 6.4868
Al 5.4167 5.4167 1.8056
Al 2.8757 6.2776 8.1669
Al 8.8543 10.8334 10.8334
Al 4.5558 9.8887 7.9577
Al 7.9577 9.8887 4.5558
Al 9.8887 6.4868 9.8887
Al 12.8125 10.8334 10.8334
Al 6.4868 9.8887 9.8887
Al 7.2223 7.2223 5.2431
Al 10.8334 8.8543 10.8334
Al 9.2014 7.2223 7.2223
V 9.0278 5.4167 5.4167
Al 7.9577 4.5558 9.8887
Al 10.8334 10.8334 12.8125
V 5.4167 9.0278 5.4167
Al 5.2431 7.2223 7.2223
V 5.4167 5.4167 9.0278
Al 7.2223 7.2223 9.2014
Al 1.8056 1.8056 1.8056
Al 7.2223 9.2014 7.2223
Al 10.8334 10.8334 8.8543
Al 11.5688 6.2776 6.2776
Al 8.1669 6.2776 2.8757
U 0.0000 0.0000 0.0000
Al 6.2776 11.5688 6.2776
V 9.0278 9.0278 9.0278
Al 6.4868 4.5558 4.5558
Al 10.8334 12.8125 10.8334
Al 8.1669 8.1669 11.5688
Al 9.8887 7.9577 4.5558
Al 8.1669 2.8757 6.2776
Al 6.2776 6.2776 11.5688
Al 4.5558 4.5558 6.4868
Al 11.5688 8.1669 8.1669
Al 9.8887 4.5558 7.9577
Al 1.8056 5.4167 5.4167
Al 2.8757 8.1669 6.2776
Al 6.2776 2.8757 8.1669
Al 7.2223 5.2431 7.2223
U 3.6111 3.6111 3.6111
Al 4.5558 7.9577 9.8887
Al 8.1669 11.5688 8.1669
Al 4.5558 6.4868 4.5558
Al 6.2776 8.1669 2.8757
Al 5.4167 1.8056 5.4167
```

Properties
Calculated volume in A^3/atom: 16.38
Calculated formation energy in eV/atom: -0.184
E in eV/atom: -4.722


What is the calculated formation energy in the first record? -0.379 eV/atom


Number 1 is which compound? Tm2AlZn


Among the records above, which one has the highest calculated volume? Tm2AlZn


Which of these has the lowest calculated formation energy? Tm2AlZn